[1]
# PBE+U TiNiO6F6, relaxed
# - Formation energy from the elements: -13.1 eV per formula unit
data_TiNiO6F6
_cell_length_a 8.7493
_cell_length_b 8.7493
_cell_length_c 8.8416
_cell_angle_alpha 90.00
_cell_angle_beta 90.00
_cell_angle_gamma 120.00
_symmetry_space_group_name_H-M 'R -3'
_symmetry_Int_Tables_number 148
_symmetry_space_group_name_Hall '-R 3'
loop_
_atom_site_label
_atom_site_type_symbol
_atom_site_fract_x
_atom_site_fract_y
_atom_site_fract_z
Ti1 Ti 0.0000 0.0000 0.0000
Ni1 Ni 0.0000 0.0000 0.5000
O1 O 0.0017 0.1758 0.3829
F1 F 0.0762 0.1998 0.1278


[2]
# PBE+U K2MnC4O10, relaxed
# - Formation energy from the elements: -25.9 eV per formula unit
data_K2MnC4O10
_cell_length_a 8.293
_cell_length_b 12.222
_cell_length_c 10.306
_cell_angle_alpha 90.00
_cell_angle_beta 90.00
_cell_angle_gamma 90.00
_symmetry_space_group_name_H-M 'C m c 21'
_symmetry_Int_Tables_number 36
loop_
_symmetry_equiv_pos_as_xyz
'x,y,z'
'-x,-y,z+1/2'
'-x,y,z'
'x,-y,z+1/2'
'x+1/2,y+1/2,z'
'-x+1/2,-y+1/2,z+1/2'
'-x+1/2,y+1/2,z'
'x+1/2,-y+1/2,z+1/2'
loop_
_atom_site_label
_atom_site_type_symbol
_atom_site_fract_x
_atom_site_fract_y
_atom_site_fract_z
K1 K 0.241 0.104 0.000
Mn1 Mn 0.000 0.328 0.220
C1 C 0.000 0.097 0.281
C2 C 0.000 0.156 0.412
C3 C 0.000 0.353 0.932
C4 C 0.000 0.429 0.803
O1 O 0.000 0.004 0.778
O2 O 0.000 0.103 0.513
O3 O 0.000 0.159 0.178
O4 O 0.000 0.253 0.916
O5 O 0.000 0.263 0.404
O6 O 0.000 0.384 0.696
O7 O 0.000 0.407 0.039
O8 O 0.000 0.468 0.331
O9 O 0.203 0.320 0.208


[3]
# PBE+U MgMn4Cu3O12, relaxed
# - Formation energy from the elements: -31.7 eV per formula unit
data_MgMn4Cu3O12
_cell_length_a 10.485
_cell_length_b 7.254
_cell_length_c 7.274
_cell_angle_alpha 90.00
_cell_angle_beta 133.88
_cell_angle_gamma 90.00
_symmetry_space_group_name_H-M 'C 1 m 1'
_symmetry_Int_Tables_number 8
loop_
_symmetry_equiv_pos_as_xyz
'x,y,z'
'x,-y,z'
'x+1/2,y+1/2,z'
'x+1/2,-y+1/2,z'
loop_
_atom_site_label
_atom_site_type_symbol
_atom_site_fract_x
_atom_site_fract_y
_atom_site_fract_z
Mg1 Mg 0.000 0.000 0.000
Mn1 Mn 0.214 0.249 0.914
Mn2 Mn 0.223 0.256 0.429
Cu1 Cu 0.461 0.000 0.414
Cu2 Cu 0.468 0.000 0.922
Cu3 Cu 0.468 0.500 0.412
O1 O 0.135 0.300 0.083
O2 O 0.147 0.500 0.421
O3 O 0.149 0.500 0.775
O4 O 0.265 0.000 0.391
O5 O 0.273 0.000 0.053
O6 O 0.300 0.197 0.756
O7 O 0.452 0.332 0.204
O8 O 0.481 0.325 0.612


[4]
# PBE+U Mn2O3F, relaxed
# - Formation energy from the elements: -12.2 eV per formula unit
data_Mn2O3F
_cell_length_a 4.574
_cell_length_b 6.059
_cell_length_c 9.616
_cell_angle_alpha 71.71
_cell_angle_beta 89.03
_cell_angle_gamma 90.00
_symmetry_space_group_name_H-M 'P 1'
_symmetry_Int_Tables_number 1
loop_
_symmetry_equiv_pos_as_xyz
'x,y,z'
loop_
_atom_site_label
_atom_site_type_symbol
_atom_site_fract_x
_atom_site_fract_y
_atom_site_fract_z
Mn1 Mn 0.000 0.000 0.000
Mn2 Mn 0.008 0.509 0.997
Mn3 Mn 0.469 0.887 0.738
Mn4 Mn 0.506 0.626 0.243
Mn5 Mn 0.519 0.369 0.762
Mn6 Mn 0.527 0.136 0.253
Mn7 Mn 0.967 0.752 0.505
Mn8 Mn 0.988 0.255 0.494
O1 O 0.183 0.958 0.590
O2 O 0.190 0.706 0.096
O3 O 0.302 0.081 0.844
O4 O 0.303 0.582 0.842
O5 O 0.312 0.332 0.344
O6 O 0.681 0.674 0.655
O7 O 0.687 0.178 0.653
O8 O 0.692 0.927 0.155
O9 O 0.698 0.430 0.150
O10 O 0.802 0.054 0.401
O11 O 0.804 0.553 0.401
O12 O 0.809 0.299 0.908
F1 F 0.200 0.451 0.601
F2 F 0.213 0.197 0.109
F3 F 0.299 0.826 0.351
F4 F 0.777 0.809 0.889


[5]
# PBE+U MgMn2Fe4O8, relaxed
# - Formation energy from the elements: -21.5 eV per formula unit
data_MgMn2Fe4O8
_cell_length_a 6.032
_cell_length_b 6.039
_cell_length_c 10.506
_cell_angle_alpha 90.00
_cell_angle_beta 90.00
_cell_angle_gamma 90.00
_symmetry_space_group_name_H-M 'I m m 2'
_symmetry_Int_Tables_number 44
loop_
_symmetry_equiv_pos_as_xyz
'x,y,z'
'-x,-y,z'
'-x,y,z'
'x,-y,z'
'x+1/2,y+1/2,z+1/2'
'-x+1/2,-y+1/2,z+1/2'
'-x+1/2,y+1/2,z+1/2'
'x+1/2,-y+1/2,z+1/2'
loop_
_atom_site_label
_atom_site_type_symbol
_atom_site_fract_x
_atom_site_fract_y
_atom_site_fract_z
Mg1 Mg 0.000 0.000 0.000
Mn1 Mn 0.000 0.259 0.821
Fe1 Fe 0.000 0.000 0.491
Fe2 Fe 0.000 0.500 0.252
Fe3 Fe 0.236 0.500 0.664
O1 O 0.000 0.233 0.142
O2 O 0.000 0.259 0.615
O3 O 0.234 0.000 0.862
O4 O 0.247 0.000 0.372


[6]
# PBE+U Li7Co5O12, relaxed
# - Formation energy from the elements: -41.1 eV per formula unit
data_Li7Co5O12
_cell_length_a 5.090
_cell_length_b 5.775
_cell_length_c 7.751
_cell_angle_alpha 79.06
_cell_angle_beta 78.12
_cell_angle_gamma 73.23
_symmetry_space_group_name_H-M 'P -1'
_symmetry_Int_Tables_number 2
loop_
_symmetry_equiv_pos_as_xyz
'x,y,z'
'-x,-y,-z'
loop_
_atom_site_label
_atom_site_type_symbol
_atom_site_fract_x
_atom_site_fract_y
_atom_site_fract_z
Li1 Li 0.000 0.000 0.000
Li2 Li 0.000 0.161 0.339
Li3 Li 0.000 0.500 0.000
Li4 Li 0.002 0.331 0.662
Li5 Li 0.500 0.000 0.500
Co1 Co 0.498 0.328 0.175
Co2 Co 0.500 0.166 0.828
Co3 Co 0.500 0.500 0.500
O1 O 0.264 0.165 0.082
O2 O 0.269 0.991 0.762
O3 O 0.273 0.499 0.732
O4 O 0.276 0.808 0.415
O5 O 0.279 0.656 0.084
O6 O 0.281 0.347 0.415


[7]
# PBE+U PbWO4, relaxed
# - Formation energy from the elements: -12.3 eV per formula unit
data_PbWO4
_cell_length_a 5.687
_cell_length_b 5.108
_cell_length_c 13.953
_cell_angle_alpha 90.00
_cell_angle_beta 109.45
_cell_angle_gamma 90.00
_symmetry_space_group_name_H-M 'P 1 21/c 1'
_symmetry_Int_Tables_number 14
loop_
_symmetry_equiv_pos_as_xyz
'x,y,z'
'-x,-y,-z'
'-x,y+1/2,-z+1/2'
'x,-y+1/2,z+1/2'
loop_
_atom_site_label
_atom_site_type_symbol
_atom_site_fract_x
_atom_site_fract_y
_atom_site_fract_z
Pb1 Pb 0.174 0.207 0.154
W1 W 0.394 0.250 0.425
O1 O 0.093 0.118 0.348
O2 O 0.271 0.550 0.478
O3 O 0.389 0.061 0.559
O4 O 0.471 0.114 0.816


[8]
# PBE+U Li8Mn5Fe3B8O24, relaxed
# - Formation energy from the elements: -116.8 eV per formula unit
data_Li8Mn5Fe3B8O24
_cell_length_a 5.241
_cell_length_b 5.242
_cell_length_c 20.936
_cell_angle_alpha 90.75
_cell_angle_beta 90.97
_cell_angle_gamma 119.86
_symmetry_space_group_name_H-M 'P 1'
_symmetry_Int_Tables_number 1
loop_
_symmetry_equiv_pos_as_xyz
'x,y,z'
loop_
_atom_site_label
_atom_site_type_symbol
_atom_site_fract_x
_atom_site_fract_y
_atom_site_fract_z
Li1 Li 0.000 0.000 0.000
Li2 Li 0.000 0.000 0.500
Li3 Li 0.302 0.341 0.375
Li4 Li 0.305 0.340 0.876
Li5 Li 0.330 0.314 0.125
Li6 Li 0.330 0.314 0.626
Li7 Li 0.989 0.009 0.750
Li8 Li 0.989 0.011 0.250
Mn1 Mn 0.320 0.666 0.734
Mn2 Mn 0.325 0.668 0.232
Mn3 Mn 0.654 0.333 0.483
Mn4 Mn 0.654 0.985 0.608
Mn5 Mn 0.975 0.665 0.358
Fe1 Fe 0.655 0.983 0.107
Fe2 Fe 0.658 0.329 0.983
Fe3 Fe 0.967 0.664 0.859
B1 B 0.317 0.667 0.480
B2 B 0.317 0.667 0.980
B3 B 0.647 0.001 0.855
B4 B 0.648 0.004 0.355
B5 B 0.655 0.328 0.730
B6 B 0.657 0.328 0.229
B7 B 0.989 0.659 0.104
B8 B 0.993 0.659 0.605
O1 O 0.010 0.933 0.097
O2 O 0.023 0.935 0.598
O3 O 0.068 0.692 0.965
O4 O 0.074 0.701 0.464
O5 O 0.230 0.628 0.625
O6 O 0.236 0.641 0.123
O7 O 0.291 0.393 0.472
O8 O 0.304 0.399 0.973
O9 O 0.381 0.303 0.723
O10 O 0.382 0.303 0.222
O11 O 0.392 0.733 0.841
O12 O 0.398 0.732 0.339
O13 O 0.580 0.918 0.999
O14 O 0.582 0.909 0.501
O15 O 0.617 0.241 0.375
O16 O 0.628 0.246 0.874
O17 O 0.689 0.085 0.715
O18 O 0.690 0.085 0.213
O19 O 0.721 0.404 0.090
O20 O 0.721 0.409 0.590
O21 O 0.898 0.592 0.751
O22 O 0.900 0.592 0.250
O23 O 0.922 0.022 0.849
O24 O 0.924 0.034 0.347


[9]
# PBE+U Li13Mn3Nb2O16, relaxed
# - Formation energy from the elements: -78.9 eV per formula unit
data_Li13Mn3Nb2O16
_cell_length_a 10.398
_cell_length_b 6.089
_cell_length_c 9.998
_cell_angle_alpha 90.00
_cell_angle_beta 91.21
_cell_angle_gamma 90.00
_symmetry_space_group_name_H-M 'C 1 m 1'
_symmetry_Int_Tables_number 8
loop_
_symmetry_equiv_pos_as_xyz
'x,y,z'
'x,-y,z'
'x+1/2,y+1/2,z'
'x+1/2,-y+1/2,z'
loop_
_atom_site_label
_atom_site_type_symbol
_atom_site_fract_x
_atom_site_fract_y
_atom_site_fract_z
Li1 Li 0.000 0.000 0.000
Li2 Li 0.004 0.500 0.007
Li3 Li 0.149 0.000 0.807
Li4 Li 0.156 0.500 0.348
Li5 Li 0.248 0.203 0.294
Li6 Li 0.334 0.000 0.733
Li7 Li 0.374 0.303 0.525
Li8 Li 0.451 0.296 0.775
Li9 Li 0.454 0.000 0.249
Li10 Li 0.494 0.000 0.495
Mn1 Mn 0.151 0.000 0.531
Mn2 Mn 0.246 0.253 0.030
Nb1 Nb 0.175 0.500 0.760
Nb2 Nb 0.481 0.500 0.270
O1 O 0.003 0.500 0.685
O2 O 0.004 0.000 0.638
O3 O 0.062 0.242 0.390
O4 O 0.099 0.264 0.902
O5 O 0.146 0.000 0.163
O6 O 0.171 0.500 0.130
O7 O 0.242 0.247 0.662
O8 O 0.312 0.000 0.432
O9 O 0.315 0.000 0.931
O10 O 0.328 0.500 0.382
O11 O 0.336 0.500 0.884
O12 O 0.402 0.264 0.152


[10]
# PBE+U Mn12O7F17, relaxed
# - Formation energy from the elements: -91.9 eV per formula unit
data_Mn12O7F17
_cell_length_a 4.798
_cell_length_b 5.828
_cell_length_c 15.765
_cell_angle_alpha 89.84
_cell_angle_beta 89.48
_cell_angle_gamma 89.00
_symmetry_space_group_name_H-M 'P 1'
_symmetry_Int_Tables_number 1
loop_
_symmetry_equiv_pos_as_xyz
'x,y,z'
loop_
_atom_site_label
_atom_site_type_symbol
_atom_site_fract_x
_atom_site_fract_y
_atom_site_fract_z
Mn1 Mn 0.000 0.000 0.000
Mn2 Mn 0.002 0.011 0.327
Mn3 Mn 0.009 0.661 0.490
Mn4 Mn 0.019 0.656 0.823
Mn5 Mn 0.458 0.489 0.654
Mn6 Mn 0.467 0.197 0.486
Mn7 Mn 0.469 0.480 0.987
Mn8 Mn 0.483 0.179 0.827
Mn9 Mn 0.492 0.167 0.147
Mn10 Mn 0.501 0.494 0.319
Mn11 Mn 0.953 0.694 0.164
Mn12 Mn 0.989 0.970 0.659
O1 O 0.205 0.699 0.713
O2 O 0.266 0.438 0.547
O3 O 0.278 0.444 0.879
O4 O 0.288 0.211 0.043
O5 O 0.288 0.246 0.377
O6 O 0.765 0.717 0.271
O7 O 0.771 0.953 0.104
F1 F 0.208 0.709 0.059
F2 F 0.226 0.940 0.546
F3 F 0.226 0.940 0.889
F4 F 0.234 0.951 0.217
F5 F 0.250 0.733 0.380
F6 F 0.252 0.200 0.717
F7 F 0.255 0.448 0.207
F8 F 0.702 0.214 0.599
F9 F 0.708 0.445 0.757
F10 F 0.716 0.459 0.092
F11 F 0.720 0.228 0.255
F12 F 0.745 0.451 0.426
F13 F 0.747 0.214 0.928
F14 F 0.749 0.719 0.598
F15 F 0.758 0.938 0.776
F16 F 0.758 0.964 0.440
F17 F 0.772 0.704 0.934


[11]
# PBE+U UBi4WO12, relaxed
# - Formation energy from the elements: -39.0 eV per formula unit
data_UBi4WO12
_cell_length_a 3.988
_cell_length_b 3.988
_cell_length_c 16.550
_cell_angle_alpha 90.00
_cell_angle_beta 90.00
_cell_angle_gamma 90.00
_symmetry_space_group_name_H-M 'P 4/m m m'
_symmetry_Int_Tables_number 123
_symmetry_space_group_name_Hall '-P 4 2'
loop_
_atom_site_label
_atom_site_type_symbol
_atom_site_fract_x
_atom_site_fract_y
_atom_site_fract_z
U1 U 0.000 0.000 0.000
Bi1 Bi 0.000 0.000 0.327
Bi2 Bi 0.500 0.500 0.180
W1 W 0.500 0.500 0.500
O1 O 0.000 0.000 0.124
O2 O 0.000 0.500 0.000
O3 O 0.000 0.500 0.253
O4 O 0.000 0.500 0.500
O5 O 0.500 0.500 0.384


[12]
# PBE+U K2MgCo2O4, relaxed
# - Formation energy from the elements: -14.5 eV per formula unit
data_K2MgCo2O4
_cell_length_a 5.612
_cell_length_b 5.847
_cell_length_c 5.859
_cell_angle_alpha 84.12
_cell_angle_beta 65.51
_cell_angle_gamma 62.81
_symmetry_space_group_name_H-M 'P 1'
_symmetry_Int_Tables_number 1
loop_
_symmetry_equiv_pos_as_xyz
'x,y,z'
loop_
_atom_site_label
_atom_site_type_symbol
_atom_site_fract_x
_atom_site_fract_y
_atom_site_fract_z
K1 K 0.000 0.000 0.000
K2 K 0.436 0.341 0.751
Mg1 Mg 0.786 0.693 0.537
Co1 Co 0.240 0.235 0.346
Co2 Co 0.541 0.645 0.217
O1 O 0.211 0.572 0.427
O2 O 0.540 0.954 0.383
O3 O 0.561 0.701 0.889
O4 O 0.887 0.386 0.311